The following is a PBE with a Hubbard U calculation of a relaxed Ni5Te4Br2O12 crystal, from the Materials Project database.

Cell: 10.5715 10.5715 16.4582 Å, 123.63 123.63 29.10°
Fractional coordinates of all 46 atoms:
Ni 0.1300 0.6977 0.5289
Ni 0.2080 0.7723 0.3778
Ni 0.2277 0.7920 0.1222
Ni 0.2470 0.7530 0.7500
Ni 0.3023 0.8700 0.9711
Ni 0.6977 0.1300 0.0289
Ni 0.7530 0.2470 0.2500
Ni 0.7723 0.2080 0.8778
Ni 0.7920 0.2277 0.6222
Ni 0.8700 0.3023 0.4711
Te 0.1403 0.5728 0.1200
Te 0.1949 0.5615 0.8638
Te 0.4272 0.8597 0.3800
Te 0.4385 0.8051 0.6362
Te 0.5615 0.1949 0.3638
Te 0.5728 0.1403 0.6200
Te 0.8051 0.4385 0.1362
Te 0.8597 0.4272 0.8800
Br 0.0669 0.4585 0.4015
Br 0.4585 0.0669 0.9015
Br 0.5415 0.9331 0.0985
Br 0.9331 0.5415 0.5985
O 0.0529 0.7638 0.9823
O 0.0695 0.0801 0.8546
O 0.0801 0.0695 0.3546
O 0.1270 0.7941 0.8565
O 0.2059 0.8730 0.6435
O 0.2233 0.5515 0.2493
O 0.2362 0.9471 0.5177
O 0.3099 0.5510 0.4301
O 0.4339 0.4408 0.6307
O 0.4408 0.4339 0.1307
O 0.4485 0.7767 0.2507
O 0.4490 0.6901 0.0699
O 0.5510 0.3099 0.9301
O 0.5515 0.2233 0.7493
O 0.5592 0.5661 0.8693
O 0.5661 0.5592 0.3693
O 0.6901 0.4490 0.5699
O 0.7638 0.0529 0.4823
O 0.7767 0.4485 0.7507
O 0.7941 0.1270 0.3565
O 0.8730 0.2059 0.1435
O 0.9199 0.9305 0.6454
O 0.9305 0.9199 0.1454
O 0.9471 0.2362 0.0177

- raw total energy (eV per formula unit) = -112.8
- total moment (μB/f.u.) = 10.00
- calculated formation energy (eV per atom) = -1.288



The following is a PBE with a Hubbard U calculation of a relaxed Sr2VBrO4 crystal, from the Materials Project database.

Cell: 6.6872 7.6170 11.8114 Å, 90.00 90.00 90.00°
Fractional coordinates of all 32 atoms:
Sr 0.1220 0.0306 0.2500
Sr 0.1220 0.4694 0.7500
Sr 0.3750 0.7500 0.0000
Sr 0.3750 0.7500 0.5000
Sr 0.6250 0.2500 0.0000
Sr 0.6250 0.2500 0.5000
Sr 0.8780 0.5306 0.2500
Sr 0.8780 0.9694 0.7500
V 0.1249 0.2500 0.0000
V 0.1249 0.2500 0.5000
V 0.8751 0.7500 0.0000
V 0.8751 0.7500 0.5000
Br 0.4721 0.1764 0.7500
Br 0.4721 0.3236 0.2500
Br 0.5279 0.6764 0.7500
Br 0.5279 0.8236 0.2500
O 0.0318 0.7288 0.6186
O 0.0318 0.7288 0.8814
O 0.0318 0.7712 0.1186
O 0.0318 0.7712 0.3814
O 0.2806 0.0724 0.0276
O 0.2806 0.0724 0.4724
O 0.2806 0.4276 0.5276
O 0.2806 0.4276 0.9724
O 0.7194 0.5724 0.0276
O 0.7194 0.5724 0.4724
O 0.7194 0.9276 0.5276
O 0.7194 0.9276 0.9724
O 0.9682 0.2288 0.6186
O 0.9682 0.2288 0.8814
O 0.9682 0.2712 0.1186
O 0.9682 0.2712 0.3814

- raw total energy (eV per formula unit) = -52.7
- total moment (μB/f.u.) = 0.00
- calculated formation energy (eV per atom) = -2.912



The following is a PBE with a Hubbard U calculation of a relaxed VBr3O6 crystal, from the Materials Project database.

Cell: 6.0236 4.6212 12.3454 Å, 90.00 94.69 90.00°
Fractional coordinates of all 20 atoms:
V 0.0000 0.0000 0.0000
V 0.0000 0.5000 0.5000
Br 0.1830 0.1242 0.8107
Br 0.1830 0.3758 0.3107
Br 0.5000 0.0000 0.5000
Br 0.5000 0.5000 0.0000
Br 0.8170 0.6242 0.6893
Br 0.8170 0.8758 0.1893
O 0.0676 0.1030 0.5261
O 0.0676 0.3970 0.0261
O 0.2724 0.6058 0.5471
O 0.2724 0.8942 0.0471
O 0.3538 0.0539 0.3535
O 0.3538 0.4461 0.8535
O 0.6462 0.5539 0.1465
O 0.6462 0.9461 0.6465
O 0.7276 0.1058 0.9529
O 0.7276 0.3942 0.4529
O 0.9324 0.6030 0.9739
O 0.9324 0.8970 0.4739

- raw total energy (eV per formula unit) = -43.3
- total moment (μB/f.u.) = 0.00
- calculated formation energy (eV per atom) = -0.227



The following is a PBE with a Hubbard U calculation of a relaxed VBrO crystal, from the Materials Project database.

Cell: 3.4729 3.8538 9.0500 Å, 90.00 90.00 90.00°
Fractional coordinates of all 6 atoms:
V 0.2500 0.2500 0.1009
V 0.7500 0.7500 0.8991
Br 0.2500 0.7500 0.6909
Br 0.7500 0.2500 0.3091
O 0.2500 0.7500 0.0369
O 0.7500 0.2500 0.9631

- raw total energy (eV per formula unit) = -18.7
- calculated formation energy (eV per atom) = -1.811



The following is a PBE with a Hubbard U calculation of a relaxed WBr2O2 crystal, from the Materials Project database.

Cell: 8.8239 3.8696 7.7078 Å, 90.00 90.00 90.00°
Fractional coordinates of all 10 atoms:
W 0.0000 0.0250 0.0000
W 0.0000 0.9750 0.5000
Br 0.2826 0.0042 0.4863
Br 0.2826 0.9958 0.9863
Br 0.7174 0.0042 0.4863
Br 0.7174 0.9958 0.9863
O 0.0000 0.0019 0.2443
O 0.0000 0.4927 0.4957
O 0.0000 0.5073 0.9957
O 0.0000 0.9981 0.7443

- raw total energy (eV per formula unit) = -26.9
- total moment (μB/f.u.) = 0.00
- calculated formation energy (eV per atom) = -1.325
- largest piezoelectric modulus (C/m²) = 7.44



The following is a PBE with a Hubbard U calculation of a relaxed WBr4O crystal, from the Materials Project database.

Cell: 9.8292 9.8292 3.9116 Å, 90.00 90.00 90.00°
Fractional coordinates of all 12 atoms:
W 0.0000 0.0000 0.0000
W 0.5000 0.5000 0.5000
Br 0.0631 0.7573 0.9378
Br 0.2427 0.0631 0.9378
Br 0.2573 0.4369 0.4378
Br 0.4369 0.7427 0.4378
Br 0.5631 0.2573 0.4378
Br 0.7427 0.5631 0.4378
Br 0.7573 0.9369 0.9378
Br 0.9369 0.2427 0.9378
O 0.0000 0.0000 0.4543
O 0.5000 0.5000 0.9543

- raw total energy (eV per formula unit) = -23.5
- total moment (μB/f.u.) = 0.00
- calculated formation energy (eV per atom) = -0.699



The following is a PBE with a Hubbard U calculation of a relaxed WBr2O2 crystal, from the Materials Project database.

Cell: 8.9836 3.8511 7.7011 Å, 90.00 90.00 90.00°
Fractional coordinates of all 10 atoms:
W 0.0000 0.0057 0.0000
W 0.0000 0.9943 0.5000
Br 0.2784 0.0002 0.4975
Br 0.2784 0.9998 0.9975
Br 0.7216 0.0002 0.4975
Br 0.7216 0.9998 0.9975
O 0.0000 0.0001 0.2486
O 0.0000 0.9999 0.7486
O 0.0000 0.4984 0.4985
O 0.0000 0.5016 0.9985

- raw total energy (eV per formula unit) = -27.0
- total moment (μB/f.u.) = 0.00
- calculated formation energy (eV per atom) = -1.330



The following is a PBE with a Hubbard U calculation of a relaxed WBr2O2 crystal, from the Materials Project database.

Cell: 8.6814 3.9009 7.7104 Å, 90.00 90.00 90.00°
Fractional coordinates of all 10 atoms:
W 0.0000 0.0474 0.0000
W 0.0000 0.9526 0.5000
Br 0.2838 0.0083 0.5254
Br 0.2838 0.9917 0.0254
Br 0.7162 0.0083 0.5254
Br 0.7162 0.9917 0.0254
O 0.0000 0.0037 0.7666
O 0.0000 0.4940 0.5162
O 0.0000 0.5060 0.0162
O 0.0000 0.9963 0.2666

- raw total energy (eV per formula unit) = -26.9
- total moment (μB/f.u.) = 0.00
- calculated formation energy (eV per atom) = -1.312



The following is a PBE with a Hubbard U calculation of a relaxed WBr2O2 crystal, from the Materials Project database.

Cell: 7.7013 9.0066 3.8515 Å, 90.00 90.00 90.00°
Fractional coordinates of all 10 atoms:
W 0.2500 0.0000 0.0066
W 0.7500 0.0000 0.9934
Br 0.2500 0.2776 0.9972
Br 0.2500 0.7224 0.9972
Br 0.7500 0.2776 0.0028
Br 0.7500 0.7224 0.0028
O 0.0000 0.0000 0.0000
O 0.2500 0.0000 0.5011
O 0.5000 0.0000 0.0000
O 0.7500 0.0000 0.4989

- raw total energy (eV per formula unit) = -26.9
- total moment (μB/f.u.) = 0.00
- calculated formation energy (eV per atom) = -1.327



The following is a PBE with a Hubbard U calculation of a relaxed WBr4O crystal, from the Materials Project database.

Cell: 10.0507 10.0507 3.8441 Å, 90.00 90.00 90.00°
Fractional coordinates of all 12 atoms:
W 0.0000 0.0000 0.0000
W 0.5000 0.5000 0.5000
Br 0.0609 0.7589 0.0000
Br 0.2411 0.0609 0.0000
Br 0.2589 0.4391 0.5000
Br 0.4391 0.7411 0.5000
Br 0.5609 0.2589 0.5000
Br 0.7411 0.5609 0.5000
Br 0.7589 0.9391 0.0000
Br 0.9391 0.2411 0.0000
O 0.0000 0.0000 0.5000
O 0.5000 0.5000 0.0000

- raw total energy (eV per formula unit) = -23.6
- total moment (μB/f.u.) = 0.00
- calculated formation energy (eV per atom) = -0.709



The following is a PBE with a Hubbard U calculation of a relaxed KCaCoC6S6O10 crystal, from the Materials Project database.

Cell: 11.5218 12.6022 13.3345 Å, 90.00 90.00 90.00°
Fractional coordinates of all 100 atoms:
K 0.0841 0.0643 0.2792
K 0.4159 0.9357 0.7792
K 0.5841 0.4357 0.7208
K 0.9159 0.5643 0.2208
Ca 0.2149 0.0573 0.5458
Ca 0.2851 0.9427 0.0458
Ca 0.7149 0.4427 0.4542
Ca 0.7851 0.5573 0.9542
Co 0.2142 0.5732 0.4852
Co 0.2858 0.4268 0.9852
Co 0.7142 0.9268 0.5148
Co 0.7858 0.0732 0.0148
C 0.0138 0.9425 0.0625
C 0.0364 0.9899 0.9585
C 0.0389 0.4933 0.9006
C 0.0543 0.5628 0.9938
C 0.1725 0.8232 0.4698
C 0.2463 0.1895 0.0595
C 0.2537 0.8105 0.5595
C 0.3275 0.1768 0.9698
C 0.4457 0.4372 0.4938
C 0.4611 0.5067 0.4006
C 0.4636 0.0101 0.4585
C 0.4862 0.0575 0.5625
C 0.5138 0.5575 0.9375
C 0.5364 0.5101 0.0415
C 0.5389 0.0067 0.0994
C 0.5543 0.9372 0.0062
C 0.6725 0.6768 0.5302
C 0.7463 0.3105 0.9405
C 0.7537 0.6895 0.4405
C 0.8275 0.3232 0.0302
C 0.9457 0.0628 0.5062
C 0.9611 0.9933 0.5994
C 0.9636 0.4899 0.5415
C 0.9862 0.4425 0.4375
S 0.0734 0.5540 0.6015
S 0.1177 0.4628 0.3819
S 0.1231 0.7111 0.4126
S 0.1481 0.4098 0.8668
S 0.1828 0.5594 0.0566
S 0.1984 0.3125 0.0899
S 0.3016 0.6875 0.5899
S 0.3172 0.4406 0.5566
S 0.3519 0.5902 0.3668
S 0.3769 0.2889 0.9126
S 0.3823 0.5372 0.8819
S 0.4266 0.4460 0.1015
S 0.5734 0.9460 0.3985
S 0.6177 0.0372 0.6181
S 0.6231 0.7889 0.5874
S 0.6481 0.0902 0.1332
S 0.6828 0.9406 0.9434
S 0.6984 0.1875 0.9101
S 0.8016 0.8125 0.4101
S 0.8172 0.0594 0.4434
S 0.8519 0.9098 0.6332
S 0.8769 0.2111 0.0874
S 0.8823 0.9628 0.1181
S 0.9266 0.0540 0.8985
O 0.0316 0.1189 0.4794
O 0.0561 0.9999 0.6450
O 0.0961 0.8929 0.1039
O 0.1187 0.7723 0.8244
O 0.1372 0.9796 0.9240
O 0.1448 0.9158 0.4430
O 0.1468 0.2264 0.6740
O 0.1992 0.1720 0.7367
O 0.2107 0.7792 0.8710
O 0.2167 0.1067 0.1070
O 0.2833 0.8933 0.6070
O 0.2893 0.2208 0.3710
O 0.3008 0.8280 0.2367
O 0.3532 0.7736 0.1740
O 0.3552 0.0842 0.9430
O 0.3628 0.0204 0.4240
O 0.3813 0.2277 0.3244
O 0.4039 0.1071 0.6039
O 0.4439 0.0001 0.1450
O 0.4684 0.8811 0.9794
O 0.5316 0.3811 0.5206
O 0.5561 0.5001 0.3550
O 0.5961 0.6071 0.8961
O 0.6187 0.7277 0.1756
O 0.6372 0.5204 0.0760
O 0.6448 0.5842 0.5570
O 0.6468 0.2736 0.3260
O 0.6992 0.3280 0.2633
O 0.7107 0.7208 0.1290
O 0.7167 0.3933 0.8930
O 0.7833 0.6067 0.3930
O 0.7893 0.2792 0.6290
O 0.8008 0.6720 0.7633
O 0.8532 0.7264 0.8260
O 0.8552 0.4158 0.0570
O 0.8628 0.4796 0.5760
O 0.8813 0.2723 0.6756
O 0.9039 0.3929 0.3961
O 0.9439 0.4999 0.8550
O 0.9684 0.6189 0.0206

- raw total energy (eV per formula unit) = -152.5
- total moment (μB/f.u.) = 0.04
- calculated formation energy (eV per atom) = -0.754



The following is a PBE with a Hubbard U calculation of a relaxed KCaCoC6S6O10 crystal, from the Materials Project database.

Cell: 11.7430 12.1108 13.6692 Å, 90.00 90.00 90.00°
Fractional coordinates of all 100 atoms:
K 0.1886 0.1525 0.4694
K 0.3114 0.8475 0.9694
K 0.6886 0.3475 0.5306
K 0.8114 0.6525 0.0306
Ca 0.1610 0.0217 0.2128
Ca 0.3390 0.9783 0.7128
Ca 0.6610 0.4783 0.7872
Ca 0.8390 0.5217 0.2872
Co 0.1845 0.4596 0.7205
Co 0.3155 0.5404 0.2205
Co 0.6845 0.0404 0.2795
Co 0.8155 0.9596 0.7795
C 0.0616 0.0042 0.6935
C 0.0807 0.9287 0.7811
C 0.1719 0.3090 0.2306
C 0.1895 0.7635 0.1743
C 0.2267 0.7769 0.2813
C 0.2472 0.3652 0.1767
C 0.2528 0.6348 0.6767
C 0.2733 0.2231 0.7813
C 0.3105 0.2365 0.6743
C 0.3281 0.6910 0.7306
C 0.4193 0.0713 0.2811
C 0.4384 0.9958 0.1935
C 0.5616 0.4958 0.3065
C 0.5807 0.5713 0.2189
C 0.6719 0.1910 0.7694
C 0.6895 0.7365 0.8257
C 0.7267 0.7231 0.7187
C 0.7472 0.1348 0.8233
C 0.7528 0.8652 0.3233
C 0.7733 0.2769 0.2187
C 0.8105 0.2635 0.3257
C 0.8281 0.8090 0.2694
C 0.9193 0.4287 0.7189
C 0.9384 0.5042 0.8065
S 0.0342 0.3703 0.6639
S 0.0732 0.5481 0.8306
S 0.1307 0.4482 0.2732
S 0.1560 0.5901 0.6009
S 0.2133 0.6414 0.1149
S 0.2162 0.3348 0.8396
S 0.2838 0.6652 0.3396
S 0.2867 0.3586 0.6149
S 0.3440 0.4099 0.1009
S 0.3693 0.5518 0.7732
S 0.4268 0.4519 0.3306
S 0.4658 0.6297 0.1639
S 0.5342 0.1297 0.3361
S 0.5732 0.9519 0.1694
S 0.6307 0.0518 0.7268
S 0.6560 0.9099 0.3991
S 0.7133 0.8586 0.8851
S 0.7162 0.1652 0.1604
S 0.7838 0.8348 0.6604
S 0.7867 0.1414 0.3851
S 0.8440 0.0901 0.8991
S 0.8693 0.9482 0.2268
S 0.9268 0.0481 0.6694
S 0.9658 0.8703 0.8361
O 0.0160 0.0747 0.0789
O 0.0215 0.4857 0.2231
O 0.0242 0.8260 0.4627
O 0.0654 0.8162 0.5455
O 0.1018 0.0574 0.0243
O 0.1290 0.2154 0.2495
O 0.1441 0.8450 0.1328
O 0.1481 0.0303 0.6435
O 0.1817 0.9092 0.8072
O 0.2129 0.8699 0.3196
O 0.2871 0.1301 0.8196
O 0.3183 0.0908 0.3072
O 0.3519 0.9697 0.1435
O 0.3559 0.1550 0.6328
O 0.3710 0.7846 0.7495
O 0.3982 0.9426 0.5243
O 0.4346 0.1838 0.0455
O 0.4758 0.1740 0.9627
O 0.4785 0.5143 0.7231
O 0.4840 0.9253 0.5789
O 0.5160 0.4253 0.9211
O 0.5215 0.0143 0.7769
O 0.5242 0.6740 0.5373
O 0.5654 0.6838 0.4545
O 0.6018 0.4426 0.9757
O 0.6290 0.2846 0.7505
O 0.6441 0.6550 0.8672
O 0.6481 0.4697 0.3565
O 0.6817 0.5908 0.1928
O 0.7129 0.6301 0.6804
O 0.7871 0.3699 0.1804
O 0.8183 0.4092 0.6928
O 0.8519 0.5303 0.8565
O 0.8559 0.3450 0.3672
O 0.8710 0.7154 0.2505
O 0.8982 0.5574 0.4757
O 0.9346 0.3162 0.9545
O 0.9758 0.3260 0.0373
O 0.9785 0.9857 0.2769
O 0.9840 0.5747 0.4211

- raw total energy (eV per formula unit) = -150.0
- total moment (μB/f.u.) = 0.00
- calculated formation energy (eV per atom) = -0.535